An optimized crystal structure of FeOF. Source: Materials Project, functional PBE+U.

Calculated values
MP2020-corrected energy = -344.7 eV for the cell shown
formation enthalpy at 0 K = -2070.7 meV/atom
DFT total energy = -0.2222 Ha/atom
symmetry = P-1, No. 2

Lattice parameters (Å, degrees): 6.138 9.539 9.545 89.90 89.85 90.00
Sites, in units of the cell vectors:
F 0.756 0.648 0.854
F 0.004 0.595 0.096
F 0.746 0.346 0.653
F 0.754 0.154 0.846
F 0.244 0.352 0.146
F 0.504 0.095 0.596
F 0.743 0.147 0.353
F 0.996 0.405 0.904
F 0.246 0.846 0.154
F 0.496 0.905 0.404
F 0.254 0.654 0.347
F 0.500 0.405 0.404
F 0.257 0.853 0.647
F 0.999 0.095 0.096
F 0.500 0.595 0.596
F 0.001 0.905 0.904
Fe 0.765 0.512 0.488
Fe 0.485 0.260 0.764
Fe 0.016 0.239 0.737
Fe 0.999 0.261 0.264
Fe 0.766 0.980 0.517
Fe 0.735 0.989 0.011
Fe 0.001 0.739 0.736
Fe 0.501 0.761 0.764
Fe 0.266 0.517 0.980
Fe 0.235 0.488 0.512
Fe 0.499 0.239 0.236
Fe 0.265 0.011 0.989
Fe 0.515 0.740 0.236
Fe 0.984 0.761 0.263
Fe 0.234 0.020 0.483
Fe 0.734 0.483 0.020
O 0.752 0.340 0.162
O 0.004 0.903 0.405
O 0.246 0.154 0.847
O 0.248 0.660 0.838
O 0.504 0.404 0.905
O 0.500 0.097 0.095
O 0.754 0.846 0.153
O 0.000 0.404 0.405
O 0.746 0.654 0.346
O 0.252 0.161 0.340
O 0.496 0.596 0.095
O 0.996 0.097 0.595
O 0.254 0.346 0.654
O 0.748 0.839 0.660
O 0.500 0.903 0.905
O 0.000 0.596 0.595